{"formula": "Li2Cr3CuO8", "functional": "PBE with a Hubbard U", "state": "relaxed", "e_tot_ry_per_atom": -0.4831, "rho_kg_m3": 4164, "e_form_ev_per_atom": -1.932, "de_polymorph_kcal_per_mol_atoms": 0.83, "total_magnetization_mub_per_atom": 0.4886, "cell": [[2.9310, 1.6922, 4.8434], [-2.9310, 1.6922, 4.8434], [0.0000, -3.3844, 4.8434]], "species": ["Li", "Li", "Cr", "Cr", "Cr", "Cu", "O", "O", "O", "O", "O", "O", "O", "O"], "fractional_positions": [[0.0000, 0.0000, 0.0000], [0.3760, 0.3760, 0.3760], [0.3746, 0.3746, 0.8832], [0.3746, 0.8832, 0.3746], [0.8832, 0.3746, 0.3746], [0.7552, 0.7552, 0.7552], [0.1244, 0.1244, 0.5867], [0.1244, 0.5867, 0.1244], [0.1362, 0.1362, 0.1362], [0.1644, 0.6244, 0.6244], [0.5867, 0.1244, 0.1244], [0.6179, 0.6179, 0.6179], [0.6244, 0.1644, 0.6244], [0.6244, 0.6244, 0.1644]]}